Entry 1:
# Nb9PO25

A geometry-optimized Nb9PO25 structure (PBE-GGA, the Materials Project).

Values from the calculation:
Calculated formation energy = -3.01 eV per atom
MP2020-corrected energy = -9.30 eV/atom
Symmetry = No. 5
Crystal system = monoclinic

abc: 11.3987 11.3987 15.8835
angles: 45.83 45.83 19.66
Atoms (fractional coordinates):
Nb 0.6626 0.6768 0.4436
Nb 0.3232 0.3374 0.5564
Nb 0.8939 0.8795 0.7830
Nb 0.1205 0.1061 0.2170
Nb 0.9616 0.0384 0.0000
Nb 0.8925 0.8894 0.3269
Nb 0.1106 0.1075 0.6731
Nb 0.7828 0.7814 0.1089
Nb 0.2186 0.2172 0.8911
P 0.7500 0.2500 0.5000
O 0.8494 0.8394 0.5103
O 0.1606 0.1506 0.4897
O 0.6404 0.6502 0.1991
O 0.3498 0.3596 0.8009
O 0.7151 0.7203 0.2927
O 0.2797 0.2849 0.7073
O 0.9920 0.9871 0.7282
O 0.0129 0.0080 0.2718
O 0.5825 0.5168 0.5155
O 0.4832 0.4175 0.4845
O 0.9019 0.9678 0.6148
O 0.0322 0.0981 0.3852
O 0.6149 0.6097 0.6362
O 0.3903 0.3851 0.3638
O 0.7495 0.7536 0.8607
O 0.2464 0.2505 0.1393
O 0.7875 0.7749 0.3918
O 0.2251 0.2125 0.6082
O 0.8207 0.8334 0.9542
O 0.1666 0.1793 0.0458
O 0.9503 0.9515 0.1668
O 0.0485 0.0497 0.8332
O 0.8819 0.8827 0.0686
O 0.1173 0.1181 0.9314
O 0.4918 0.5082 0.0000

Entry 2:
# Sm2GeB2O8

A geometry-optimized Sm2GeB2O8 structure (PBE-GGA, the Materials Project).

Values from the calculation:
Calculated formation energy = -3.18 eV per atom
MP2020-corrected energy = -8.34 eV/atom
Symmetry = No. 60
Crystal system = orthorhombic

abc: 4.4812 9.4785 13.7185
angles: 90.00 90.00 90.00
Atoms (fractional coordinates):
Sm 0.4593 0.5255 0.6403
Sm 0.0407 0.0255 0.8597
Sm 0.0407 0.4745 0.1403
Sm 0.4593 0.9745 0.3597
Sm 0.5407 0.4745 0.3597
Sm 0.9593 0.9745 0.1403
Sm 0.9593 0.5255 0.8597
Sm 0.5407 0.0255 0.6403
Ge 0.9235 0.7500 0.5000
Ge 0.5765 0.2500 0.0000
Ge 0.0765 0.2500 0.5000
Ge 0.4235 0.7500 0.0000
B 0.5313 0.7039 0.2005
B 0.9687 0.2039 0.2995
B 0.9687 0.2961 0.7005
B 0.5313 0.7961 0.7995
B 0.4687 0.2961 0.7995
B 0.0313 0.7961 0.7005
B 0.0313 0.7039 0.2995
B 0.4687 0.2039 0.2005
O 0.5369 0.5518 0.1927
O 0.9631 0.0518 0.3073
O 0.9631 0.4482 0.6927
O 0.5369 0.9482 0.8073
O 0.4631 0.4482 0.8073
O 0.0369 0.9482 0.6927
O 0.0369 0.5518 0.3073
O 0.4631 0.0518 0.1927
O 0.6546 0.7672 0.1069
O 0.8454 0.2672 0.3931
O 0.8454 0.2328 0.6069
O 0.6546 0.7328 0.8931
O 0.3454 0.2328 0.8931
O 0.1546 0.7328 0.6069
O 0.1546 0.7672 0.3931
O 0.3454 0.2672 0.1069
O 0.2218 0.7599 0.2175
O 0.2782 0.2599 0.2825
O 0.2782 0.2401 0.7175
O 0.2218 0.7401 0.7825
O 0.7782 0.2401 0.7825
O 0.7218 0.7401 0.7175
O 0.7218 0.7599 0.2825
O 0.7782 0.2599 0.2175
O 0.7038 0.5987 0.4956
O 0.7962 0.0987 0.0044
O 0.7962 0.4013 0.9956
O 0.7038 0.9013 0.5044
O 0.2962 0.4013 0.5044
O 0.2038 0.9013 0.9956
O 0.2038 0.5987 0.0044
O 0.2962 0.0987 0.4956

Entry 3:
# Mn5C2

A geometry-optimized Mn5C2 structure (PBE-GGA, the Materials Project).

Values from the calculation:
Calculated formation energy = -0.07 eV per atom
Symmetry = No. 15
Crystal system = monoclinic

abc: 6.2279 6.2279 4.9974
angles: 83.08 83.08 42.11
Atoms (fractional coordinates):
Mn 0.6261 0.8067 0.6935
Mn 0.1933 0.3739 0.8065
Mn 0.3739 0.1933 0.3065
Mn 0.8067 0.6261 0.1935
Mn 0.4306 0.5694 0.7500
Mn 0.5694 0.4306 0.2500
Mn 0.1891 0.0118 0.0808
Mn 0.9882 0.8109 0.4192
Mn 0.8109 0.9882 0.9192
Mn 0.0118 0.1891 0.5808
C 0.4302 0.7963 0.4214
C 0.2037 0.5698 0.0786
C 0.5698 0.2037 0.5786
C 0.7963 0.4302 0.9214